(1)
DFT (PBE) results for a relaxed B5H8 crystal.

Output
Spin magnetization ... 0.0000 μB per atom
E_form ... -0.1526 eV/atom

abc: 11.4124 6.0611 15.1837
angles: 90.00 90.00 90.00
With the nearest neighbours (Å) after each atom.
Space group Pna2_1 (No. 33)
Unique sites:
1 B 0.0259 0.0962 0.0000 (multiplicity 4)  2 H 1.19-1.33
2 B 0.0421 0.3239 0.0737 (multiplicity 4)  1 H 1.19
3 B 0.1380 0.2066 0.9283 (multiplicity 4)  2 H 1.37
4 B 0.1518 0.4378 0.0028 (multiplicity 4)  1 H 1.19
5 B 0.1586 0.1738 0.0389 (multiplicity 4)  1 H 1.19
6 B 0.1653 0.4596 0.3302 (multiplicity 4)  1 H 1.19
7 B 0.1778 0.7233 0.2786 (multiplicity 4)  1 H 1.19
8 B 0.1883 0.1391 0.7281 (multiplicity 4)  1 H 1.19
9 B 0.2005 0.8766 0.7803 (multiplicity 4)  1 H 1.19
10 B 0.2106 0.1150 0.8389 (multiplicity 4)  5 B 1.68-1.71
11 H 0.0073 0.3650 0.1459 (multiplicity 4)  1 B 1.19
12 H 0.0206 0.1684 0.9170 (multiplicity 4)  2 B 1.33-1.37
13 H 0.0255 0.0747 0.5037 (multiplicity 4)  1 B 1.19
14 H 0.0452 0.5143 0.0282 (multiplicity 4)  2 B 1.35-1.36
15 H 0.0504 0.7444 0.5259 (multiplicity 4)  2 B 1.35-1.36
16 H 0.0968 0.5614 0.2703 (multiplicity 4)  2 B 1.35
17 H 0.1030 0.3828 0.3852 (multiplicity 4)  1 B 1.19
18 H 0.1139 0.2301 0.6869 (multiplicity 4)  1 B 1.19
19 H 0.1162 0.4280 0.9191 (multiplicity 4)  2 B 1.34-1.37
20 H 0.1257 0.8929 0.2846 (multiplicity 4)  1 B 1.19
21 H 0.1375 0.7209 0.7874 (multiplicity 4)  1 B 1.19
22 H 0.1889 0.2988 0.2715 (multiplicity 4)  2 B 1.35
23 H 0.2007 0.9347 0.6942 (multiplicity 4)  2 B 1.35
24 H 0.2076 0.6985 0.1930 (multiplicity 4)  2 B 1.35
25 H 0.2187 0.5879 0.0093 (multiplicity 4)  1 B 1.19
26 H 0.2316 0.0758 0.0791 (multiplicity 4)  1 B 1.19

(2)
DFT (PBE) results for a relaxed B2H5 crystal.

Output
E_form ... -0.1793 eV/atom

abc: 6.0015 10.3602 9.3415
angles: 90.00 112.17 90.00
With the nearest neighbours (Å) after each atom.
Space group P2_1/c (No. 14)
Unique sites:
1 B 0.0512 0.2030 0.3778 (multiplicity 4)  2 H 1.20
2 B 0.1078 0.5881 0.2763 (multiplicity 4)  3 H 1.19-1.27
3 B 0.2503 0.7297 0.2688 (multiplicity 4)  3 H 1.19-1.27
4 B 0.3941 0.5780 0.2487 (multiplicity 4)  2 H 1.20
5 H 0.0749 0.1793 0.5088 (multiplicity 4)  1 B 1.20
6 H 0.0752 0.5676 0.3923 (multiplicity 4)  1 B 1.19
7 H 0.0853 0.0737 0.3417 (multiplicity 4)  2 B 1.27-1.41
8 H 0.1372 0.7075 0.6457 (multiplicity 4)  2 B 1.27-1.41
9 H 0.2062 0.0079 0.7387 (multiplicity 4)  2 B 1.27-1.41
10 H 0.2080 0.2370 0.8582 (multiplicity 4)  1 B 1.20
11 H 0.3039 0.7029 0.8800 (multiplicity 4)  1 B 1.19
12 H 0.3962 0.5482 0.1246 (multiplicity 4)  1 B 1.20
13 H 0.4283 0.7109 0.2291 (multiplicity 4)  2 B 1.27-1.41
14 H 0.4387 0.0461 0.1382 (multiplicity 4)  1 B 1.20

(3)
DFT (PBE) results for a relaxed B10H13 crystal.

Output
Spin magnetization ... 0.0000 μB per atom
E_form ... -0.1826 eV/atom

abc: 12.1300 12.1300 23.7739
angles: 90.00 90.00 90.00
With the nearest neighbours (Å) after each atom.
Space group I4_1cd (No. 110)
Unique sites:
1 B 0.0045 0.1916 0.1485 (multiplicity 16)  2 H 1.19-1.33
2 B 0.0126 0.3465 0.2384 (multiplicity 16)  1 H 1.20
3 B 0.0181 0.2067 0.7225 (multiplicity 16)  1 H 1.19
4 B 0.0278 0.4350 0.1784 (multiplicity 16)  6 B 1.71-1.81
5 B 0.0349 0.3411 0.1194 (multiplicity 16)  2 H 1.19-1.32
6 B 0.0554 0.3128 0.6746 (multiplicity 16)  1 H 1.20
7 B 0.0923 0.1538 0.8967 (multiplicity 16)  1 H 1.19
8 B 0.0979 0.1383 0.1995 (multiplicity 16)  1 H 1.19
9 B 0.1063 0.1440 0.9709 (multiplicity 16)  2 H 1.19-1.32
10 B 0.1135 0.2456 0.2500 (multiplicity 16)  2 H 1.19-1.33
11 H 0.0055 0.3590 0.0725 (multiplicity 16)  1 B 1.19
12 H 0.0254 0.3848 0.7805 (multiplicity 16)  1 B 1.20
13 H 0.0335 0.2150 0.8715 (multiplicity 16)  1 B 1.19
14 H 0.0418 0.1297 0.6175 (multiplicity 16)  1 B 1.19
15 H 0.0446 0.3751 0.4547 (multiplicity 16)  1 B 1.19
16 H 0.0472 0.1969 0.0004 (multiplicity 16)  1 B 1.19
17 H 0.0869 0.1582 0.7484 (multiplicity 16)  1 B 1.19
18 H 0.1097 0.1634 0.1447 (multiplicity 16)  2 B 1.33-1.35
19 H 0.1410 0.3177 0.1143 (multiplicity 16)  2 B 1.32-1.34
20 H 0.1468 0.2159 0.9345 (multiplicity 16)  2 B 1.32-1.35
21 H 0.1493 0.2240 0.2954 (multiplicity 16)  1 B 1.19
22 H 0.1509 0.3229 0.6628 (multiplicity 16)  1 B 1.20
23 H 0.1850 0.1997 0.2148 (multiplicity 16)  2 B 1.33-1.34

(4)
DFT (PBE) results for a relaxed BH crystal.

Output
Spin magnetization ... 0.0833 μB per atom
E_form ... -0.0747 eV/atom

abc: 7.3422 12.1997 10.8288
angles: 90.00 90.52 90.00
With the nearest neighbours (Å) after each atom.
Space group C2/c (No. 15)
Unique sites:
1 B 0.0085 0.1752 0.0945 (multiplicity 8)  1 H 1.21
2 B 0.0663 0.0557 0.1824 (multiplicity 8)  1 H 1.20
3 B 0.0690 0.2938 0.1829 (multiplicity 8)  1 H 1.21
4 B 0.1608 0.1022 0.3243 (multiplicity 8)  1 H 1.22
5 B 0.1609 0.2476 0.3238 (multiplicity 8)  1 H 1.22
6 B 0.2148 0.1762 0.1854 (multiplicity 8)  1 H 1.19
7 H 0.0178 0.1735 0.9828 (multiplicity 8)  1 B 1.21
8 H 0.1168 0.3775 0.1324 (multiplicity 8)  1 B 1.21
9 H 0.1200 0.0248 0.6297 (multiplicity 8)  1 B 1.20
10 H 0.1386 0.3263 0.8613 (multiplicity 8)  1 B 1.19
11 H 0.2169 0.4488 0.6248 (multiplicity 8)  1 B 1.22
12 H 0.2312 0.1994 0.6144 (multiplicity 8)  1 B 1.22